No. 1
DFT (GGA+U) results for a relaxed structure of CaCoNiP2O9.

Space group: Pm, No. 6
Calculated volume in Å³ per atom: 12.3

```
56
Lattice="7.5191 0.0000 0.0000 0.0000 6.4642 0.0000 -0.0964 0.0000 14.1810" Properties=species:S:1:pos:R:3 pbc="T T T"
Ca 0.0000 0.0000 0.0000
Ca 1.7762 0.0000 7.0645
Ca 3.7067 3.2321 0.8430
Ca 5.5148 3.2321 7.8876
Co 0.1721 3.2321 2.2710
Co 1.5712 3.2321 9.3687
Co 3.8546 0.0000 12.6944
Co 5.3696 0.0000 5.5919
Ni 2.7493 1.6099 3.9416
Ni 2.7493 4.8543 3.9416
Ni 6.4679 1.6145 11.0251
Ni 6.4679 4.8497 11.0251
P 0.1162 0.0000 3.0653
P 1.6030 0.0000 10.1511
P 1.9295 3.2321 6.6941
P 3.5892 0.0000 1.1875
P 3.8210 3.2321 11.9204
P 5.3905 3.2321 4.8008
P 5.6718 0.0000 8.2720
P 7.3198 3.2321 13.7984
O 0.0193 1.2085 2.0923
O 0.0193 5.2556 2.0923
O 0.0370 3.2321 10.2904
O 0.2308 0.0000 10.8599
O 0.6199 3.2321 7.5862
O 1.2046 3.2321 0.4811
O 1.4859 0.0000 3.7792
O 1.6432 3.2321 3.1476
O 1.7118 1.2174 9.1834
O 1.7118 5.2467 9.1834
O 1.9649 1.9531 5.8370
O 1.9649 4.5110 5.8370
O 2.4644 0.0000 0.0979
O 2.6985 3.2321 10.8937
O 2.7225 0.0000 11.1826
O 3.0531 3.2321 7.7859
O 3.5529 1.2782 2.0481
O 3.5529 5.1860 2.0481
O 3.7171 2.0162 12.8941
O 3.7171 4.4480 12.8941
O 3.8361 0.0000 4.6760
O 4.0003 3.2321 4.1065
O 4.3722 0.0000 7.3765
O 4.8997 0.0000 0.2980
O 5.1925 3.2321 11.2113
O 5.3861 0.0000 11.7753
O 5.4868 2.0165 5.7796
O 5.4868 4.4476 5.7796
O 5.7058 1.2822 9.1309
O 5.7058 5.1820 9.1309
O 6.3319 3.2321 0.7724
O 6.4737 3.2321 3.7424
O 6.5154 0.0000 4.0984
O 6.8112 0.0000 7.1956
O 7.2188 1.9544 12.9476
O 7.2188 4.5097 12.9476
```



No. 2
DFT (GGA+U) results for a relaxed structure of Ca4CoSi8Ni3O24.

Space group: P2, No. 3
Calculated volume in Å³ per atom: 11.4

```
40
Lattice="5.3086 0.0000 0.0000 0.0000 8.9990 0.0000 -2.5874 0.0000 9.5132" Properties=species:S:1:pos:R:3 pbc="T T T"
Ca 0.0000 0.0000 0.0000
Ca -1.2937 0.8478 4.7566
Ca 1.3606 4.5024 4.7566
Ca 2.6543 5.3479 0.0000
Co -1.2937 6.3401 4.7566
Si -0.8284 3.5059 6.7909
Si 0.4693 6.3354 2.0263
Si 0.8954 1.8362 2.7254
Si -0.3978 8.0135 7.4842
Si 3.1190 8.0135 2.0290
Si 1.8258 1.8362 6.7878
Si 3.5496 3.5059 2.7223
Si 2.2519 6.3354 7.4869
Ni 0.0000 3.4929 0.0000
Ni 2.6543 1.8537 0.0000
Ni 1.3606 7.9921 4.7566
O -0.3366 2.8444 3.3222
O -1.6303 7.0021 8.0764
O 0.7534 4.9305 1.3044
O -0.5373 4.9128 6.0683
O 0.8852 1.8818 1.1015
O -0.4029 7.9739 5.8588
O -0.8190 3.4658 8.4138
O 0.4927 6.3802 3.6501
O -0.6874 0.4171 8.2079
O 0.6065 0.4314 3.4511
O 0.4035 2.5026 6.1909
O 1.6985 7.3446 1.4314
O 2.3177 2.5026 3.3222
O 1.0227 7.3446 8.0818
O 3.4086 0.4171 1.3052
O 2.1147 0.4314 6.0621
O 2.2285 6.3802 5.8631
O 3.5402 3.4658 1.0994
O 3.1241 7.9739 3.6544
O 1.8360 1.8818 8.4117
O 3.2585 4.9128 3.4449
O 1.9678 4.9305 8.2088
O 3.0578 2.8444 6.1909
O 4.3515 7.0021 1.4368
```



No. 3
DFT (GGA+U) results for a relaxed structure of Ca2Co3O8.

E above lowest polymorph in meV/atom: 0
Space group: C2/m, No. 12
Calculated volume in Å³ per atom: 11.4

```
13
Lattice="5.4932 -2.9083 0.0000 5.4932 2.9083 0.0000 -1.6723 0.0000 4.6502" Properties=species:S:1:pos:R:3 pbc="T T T"
Ca 2.1749 0.0000 0.7866
Ca 7.1393 0.0000 3.8636
Co 4.6571 1.4888 2.3251
Co 5.4932 0.0000 0.0000
Co 4.6571 -1.4888 2.3251
O 0.3580 0.0000 2.1516
O 4.2294 1.2764 0.5217
O 5.0848 1.2764 4.1285
O 3.4368 0.0000 2.7717
O 5.8774 0.0000 1.8785
O 4.2294 -1.2764 0.5217
O 5.0848 -1.2764 4.1285
O 8.9562 0.0000 2.4986
```



| no. | ΔE_f (eV per formula unit) |
| --- | --- |
| 1 | -32.485 |
| 2 | -117.967 |
| 3 | -24.085 |